[1]
# ThSi2Ru2 | the Materials Project | meta-GGA r2SCAN | relaxed
data_ThSi2Ru2
_chemical_formula_sum 'Th1 Si2 Ru2'
_space_group_name_H-M_alt 'P 1'
_space_group_IT_number 1
_cell_length_a 4.213
_cell_length_b 4.213
_cell_length_c 5.706
_cell_angle_alpha 111.67
_cell_angle_beta 111.67
_cell_angle_gamma 90.00
loop_
_space_group_symop_operation_xyz
'x,y,z'
loop_
_atom_site_label
_atom_site_type_symbol
_atom_site_fract_x
_atom_site_fract_y
_atom_site_fract_z
Th1 Th 0.000 0.000 0.000
Si1 Si 0.633 0.633 0.267
Si2 Si 0.367 0.367 0.733
Ru1 Ru 0.750 0.250 0.500
Ru2 Ru 0.250 0.750 0.500
# V (Å³ per cell): 86
# Magnetic moment (μB/f.u.): 0.0
# Final energy (Ry per atom): -2.158

---

[2]
# USi2Ru2 | the Materials Project | meta-GGA r2SCAN | relaxed
data_USi2Ru2
_chemical_formula_sum 'U1 Si2 Ru2'
_space_group_name_H-M_alt 'P 1'
_space_group_IT_number 1
_cell_length_a 4.164
_cell_length_b 4.164
_cell_length_c 5.612
_cell_angle_alpha 111.77
_cell_angle_beta 111.77
_cell_angle_gamma 90.00
loop_
_space_group_symop_operation_xyz
'x,y,z'
loop_
_atom_site_label
_atom_site_type_symbol
_atom_site_fract_x
_atom_site_fract_y
_atom_site_fract_z
U1 U 0.000 0.000 0.000
Si1 Si 0.629 0.629 0.259
Si2 Si 0.371 0.371 0.741
Ru1 Ru 0.750 0.250 0.500
Ru2 Ru 0.250 0.750 0.500
# V (Å³ per cell): 83
# Magnetic moment (μB/f.u.): 2.3
# Final energy (Ry per atom): -2.242

---

[3]
# YSiRu | the Materials Project | meta-GGA r2SCAN | relaxed
data_YSiRu
_chemical_formula_sum 'Y4 Si4 Ru4'
_space_group_name_H-M_alt 'P 1'
_space_group_IT_number 1
_cell_length_a 4.326
_cell_length_b 6.998
_cell_length_c 7.080
_cell_angle_alpha 90.00
_cell_angle_beta 90.00
_cell_angle_gamma 90.00
loop_
_space_group_symop_operation_xyz
'x,y,z'
loop_
_atom_site_label
_atom_site_type_symbol
_atom_site_fract_x
_atom_site_fract_y
_atom_site_fract_z
Y1 Y 0.750 0.014 0.813
Y2 Y 0.250 0.486 0.313
Y3 Y 0.750 0.514 0.687
Y4 Y 0.250 0.986 0.187
Si1 Si 0.250 0.306 0.894
Si2 Si 0.250 0.806 0.606
Si3 Si 0.750 0.694 0.106
Si4 Si 0.750 0.194 0.394
Ru1 Ru 0.250 0.652 0.933
Ru2 Ru 0.250 0.152 0.567
Ru3 Ru 0.750 0.848 0.433
Ru4 Ru 0.750 0.348 0.067
# V (Å³ per cell): 214
# Magnetic moment (μB/f.u.): 0.0
# Final energy (Ry per atom): -1.399

---

[4]
# YbSi2Ru2 | the Materials Project | meta-GGA r2SCAN | relaxed
data_YbSi2Ru2
_chemical_formula_sum 'Yb1 Si2 Ru2'
_space_group_name_H-M_alt 'P 1'
_space_group_IT_number 1
_cell_length_a 5.542
_cell_length_b 5.542
_cell_length_c 5.542
_cell_angle_alpha 136.07
_cell_angle_beta 136.07
_cell_angle_gamma 63.87
loop_
_space_group_symop_operation_xyz
'x,y,z'
loop_
_atom_site_label
_atom_site_type_symbol
_atom_site_fract_x
_atom_site_fract_y
_atom_site_fract_z
Yb1 Yb 0.000 0.000 0.000
Si1 Si 0.631 0.631 0.000
Si2 Si 0.369 0.369 0.000
Ru1 Ru 0.250 0.750 0.500
Ru2 Ru 0.750 0.250 0.500
# V (Å³ per cell): 81
# Magnetic moment (μB/f.u.): 0.0
# Final energy (Ry per atom): -1.613

---

| no. | formation enthalpy at 0 K (meV per atom) |
| --- | --- |
| 1 | -992.7 |
| 2 | -838.4 |
| 3 | -867.9 |
| 4 | -959.6 |